{
  "formula": "BaSm2ZnO5",
  "functional": "PBE",
  "state": "optimized geometry",
  "space_group": "Pnma (62)",
  "lattice_angstrom": [[-4.9406, -1.4600, 2.7917], [0.0164, -6.4721, -3.3558], [6.8170, -4.9073, 9.4978]],
  "species": ["O", "Ba", "Sm", "O", "Ba", "Zn", "O", "O", "O", "O", "O", "O", "O", "Zn", "O", "O", "Sm", "Sm", "Ba", "Sm", "O", "O", "Sm", "O", "Sm", "Sm", "O", "O", "Sm", "Zn", "O", "O", "O", "Zn", "O", "Ba"],
  "fractional_positions": [[0.5035, 0.3531, 0.2245], [0.2500, 0.5766, 0.4001], [0.2500, 0.1172, 0.2922], [0.7500, 0.9314, 0.9014], [0.7500, 0.4234, 0.5999], [0.7500, 0.1918, 0.8503], [0.4950, 0.8340, 0.5659], [0.2500, 0.0686, 0.0986], [0.5050, 0.3340, 0.9341], [0.0050, 0.8340, 0.5659], [0.7500, 0.5686, 0.4014], [0.0035, 0.6469, 0.7755], [0.0035, 0.8531, 0.2755], [0.7500, 0.3082, 0.3503], [0.9965, 0.1469, 0.7245], [0.9950, 0.1660, 0.4341], [0.2500, 0.3985, 0.0747], [0.7500, 0.6172, 0.2078], [0.2500, 0.9234, 0.9001], [0.2500, 0.1015, 0.5747], [0.2500, 0.4314, 0.5986], [0.0050, 0.6660, 0.0659], [0.7500, 0.8985, 0.4253], [0.4965, 0.6469, 0.7755], [0.7500, 0.8828, 0.7078], [0.2500, 0.3828, 0.7922], [0.4950, 0.6660, 0.0659], [0.5035, 0.1469, 0.7245], [0.7500, 0.6015, 0.9253], [0.2500, 0.8082, 0.1497], [0.9950, 0.3340, 0.9341], [0.5050, 0.1660, 0.4341], [0.9965, 0.3531, 0.2245], [0.2500, 0.6918, 0.6497], [0.4965, 0.8531, 0.2755], [0.7500, 0.0766, 0.0999]]
}

{
  "formula": "Gd3CCl3",
  "functional": "PBE",
  "state": "optimized geometry",
  "space_group": "I4_132 (214)",
  "lattice_angstrom": [[7.1043, 6.1084, 0.5624], [-6.3696, 1.9929, 6.5998], [3.2488, -8.7072, 1.3151]],
  "species": ["Gd", "Gd", "Gd", "Cl", "Cl", "Gd", "C", "Gd", "Cl", "Cl", "Gd", "Cl", "Gd", "Gd", "Gd", "Cl", "C", "Cl", "Gd", "C", "Gd", "Cl", "Cl", "C", "Cl", "Cl", "Cl", "Gd"],
  "fractional_positions": [[0.2677, 0.0177, 0.0354], [0.7500, 0.0177, 0.4823], [0.0177, 0.4823, 0.7500], [0.9931, 0.5069, 0.2500], [0.5069, 0.2500, 0.9931], [0.2323, 0.4646, 0.4823], [0.5000, 0.0000, 0.2500], [0.4646, 0.4823, 0.2323], [0.5137, 0.5069, 0.7569], [0.5069, 0.7569, 0.5137], [0.0354, 0.2677, 0.0177], [0.7431, 0.9931, 0.9863], [0.7500, 0.2323, 0.2677], [0.4823, 0.7500, 0.0177], [0.2323, 0.2677, 0.7500], [0.7569, 0.5137, 0.5069], [0.2500, 0.2500, 0.2500], [0.9931, 0.9863, 0.7431], [0.2677, 0.7500, 0.2323], [0.2500, 0.5000, 0.0000], [0.4823, 0.2323, 0.4646], [0.7569, 0.7431, 0.2500], [0.2500, 0.9931, 0.5069], [0.0000, 0.2500, 0.5000], [0.2500, 0.7569, 0.7431], [0.9863, 0.7431, 0.9931], [0.7431, 0.2500, 0.7569], [0.0177, 0.0354, 0.2677]]
}

{
  "formula": "Y3Al2Fe4",
  "functional": "PBE",
  "state": "optimized geometry",
  "space_group": "P-1 (2)",
  "lattice_angstrom": [[-3.7246, -3.7773, 0.0501], [0.0315, 3.7964, -3.8028], [7.3547, -7.3602, -7.4350]],
  "species": ["Al", "Al", "Fe", "Y", "Fe", "Y", "Y", "Y", "Al", "Y", "Fe", "Fe", "Fe", "Fe", "Al", "Fe", "Fe", "Y"],
  "fractional_positions": [[0.1681, 0.8367, 0.4602], [0.8319, 0.1633, 0.7898], [0.6670, 0.8320, 0.4589], [0.6606, 0.3365, 0.5864], [0.0000, 0.0000, 0.6250], [0.3205, 0.6627, 0.9145], [0.0048, 0.9967, 0.9944], [0.9952, 0.0033, 0.2556], [0.5000, 0.0000, 0.1250], [0.3394, 0.6635, 0.6636], [0.8309, 0.6651, 0.7906], [0.1691, 0.3349, 0.4594], [0.6715, 0.3470, 0.9519], [0.3285, 0.6530, 0.2981], [0.5000, 0.5000, 0.1250], [0.0000, 0.5000, 0.1250], [0.3330, 0.1680, 0.7911], [0.6795, 0.3373, 0.3355]]
}

{
  "formula": "CeSn6Ru4",
  "functional": "PBE",
  "state": "optimized geometry",
  "space_group": "I-42m (121)",
  "lattice_angstrom": [[-3.4682, 3.4682, 4.9418], [3.4682, -3.4682, 4.9418], [3.4682, 3.4682, -4.9418]],
  "species": ["Ce", "Sn", "Sn", "Ru", "Sn", "Sn", "Sn", "Ru", "Ru", "Sn", "Ru"],
  "fractional_positions": [[0.0000, 0.0000, 0.0000], [0.8797, 0.5302, 0.0000], [0.1203, 0.1203, 0.6505], [0.7526, 0.7526, 0.3521], [0.4698, 0.4698, 0.3495], [0.5302, 0.8797, 0.0000], [0.5000, 0.0000, 0.5000], [0.4005, 0.4005, 0.6479], [0.5995, 0.2474, 0.0000], [0.0000, 0.5000, 0.5000], [0.2474, 0.5995, 0.0000]]
}

{
  "formula": "Pr3Tm",
  "functional": "PBE",
  "state": "optimized geometry",
  "space_group": "P6_3/mmc (194)",
  "lattice_angstrom": [[-3.7055, 4.7547, 4.2116], [-0.1214, 0.7019, -7.3190], [-4.8349, -3.5384, -0.2592]],
  "species": ["Tm", "Pr", "Pr", "Pr", "Pr", "Tm", "Pr", "Pr"],
  "fractional_positions": [[0.6667, 0.3333, 0.2500], [0.1684, 0.3368, 0.2500], [0.3368, 0.1684, 0.7500], [0.8316, 0.6632, 0.7500], [0.1684, 0.8316, 0.2500], [0.3333, 0.6667, 0.7500], [0.8316, 0.1684, 0.7500], [0.6632, 0.8316, 0.2500]]
}

{
  "formula": "K3AlH6",
  "functional": "PBE",
  "state": "optimized geometry",
  "space_group": "P2_1/c (14)",
  "lattice_angstrom": [[6.0742, 0.0000, 0.0000], [0.0000, 6.0149, 0.0000], [0.0000, 5.9104, 8.5701]],
  "species": ["H", "H", "K", "H", "K", "H", "H", "K", "K", "Al", "H", "H", "H", "H", "K", "H", "H", "H", "Al", "K"],
  "fractional_positions": [[0.9777, 0.7366, 0.2021], [0.4777, 0.2634, 0.2979], [0.5000, 0.5000, 0.0000], [0.8316, 0.2082, 0.0302], [0.9696, 0.7574, 0.7491], [0.6684, 0.2082, 0.5302], [0.2397, 0.1268, 0.0379], [0.5304, 0.7574, 0.2491], [0.0000, 0.5000, 0.5000], [0.0000, 0.0000, 0.0000], [0.7603, 0.8732, 0.9621], [0.7397, 0.8732, 0.4621], [0.2603, 0.1268, 0.5379], [0.0223, 0.2634, 0.7979], [0.0304, 0.2426, 0.2509], [0.1684, 0.7918, 0.9698], [0.5223, 0.7366, 0.7021], [0.3316, 0.7918, 0.4698], [0.5000, 0.0000, 0.5000], [0.4696, 0.2426, 0.7509]]
}

{
  "formula": "NbRh",
  "functional": "PBE",
  "state": "optimized geometry",
  "space_group": "P4/mmm (123)",
  "lattice_angstrom": [[2.8798, 0.0000, 0.0000], [0.0000, 2.8798, 0.0000], [0.0000, 0.0000, 3.8773]],
  "species": ["Nb", "Rh"],
  "fractional_positions": [[0.0000, 0.0000, 0.0000], [0.5000, 0.5000, 0.5000]]
}

{
  "formula": "NdAsPd",
  "functional": "PBE",
  "state": "optimized geometry",
  "space_group": "P-3m1 (164)",
  "lattice_angstrom": [[2.2588, -3.9123, 0.0000], [2.2588, 3.9123, 0.0000], [0.0000, 0.0000, 7.7806]],
  "species": ["Pd", "As", "Pd", "As", "Nd", "Nd"],
  "fractional_positions": [[0.6667, 0.3333, 0.9898], [0.3333, 0.6667, 0.5000], [0.3333, 0.6667, 0.0102], [0.6667, 0.3333, 0.5000], [0.0000, 0.0000, 0.7564], [0.0000, 0.0000, 0.2436]]
}

{
  "formula": "Mg2SnIrO6",
  "functional": "PBE",
  "state": "optimized geometry",
  "space_group": "P2_1/c (14)",
  "lattice_angstrom": [[5.4168, 0.0000, 0.0000], [0.0000, 5.2674, 0.0000], [0.0000, 5.2458, 7.7276]],
  "species": ["Sn", "Ir", "Mg", "O", "O", "O", "Mg", "Sn", "Mg", "O", "O", "Ir", "O", "Mg", "O", "O", "O", "O", "O", "O"],
  "fractional_positions": [[0.5000, 0.0000, 0.0000], [0.5000, 0.5000, 0.5000], [0.9481, 0.7446, 0.2511], [0.9157, 0.8808, 0.7556], [0.3245, 0.7451, 0.5749], [0.5843, 0.8808, 0.2556], [0.5519, 0.7446, 0.7511], [0.0000, 0.0000, 0.5000], [0.4481, 0.2554, 0.2489], [0.1755, 0.7451, 0.0749], [0.0843, 0.1192, 0.2444], [0.0000, 0.5000, 0.0000], [0.8245, 0.2549, 0.9251], [0.0519, 0.2554, 0.7489], [0.4157, 0.1192, 0.7444], [0.6818, 0.5960, 0.0732], [0.8182, 0.5960, 0.5732], [0.1818, 0.4040, 0.4268], [0.3182, 0.4040, 0.9268], [0.6755, 0.2549, 0.4251]]
}

{
  "formula": "BaMg14B",
  "functional": "PBE",
  "state": "optimized geometry",
  "de_polymorph_ev_per_atom": 0.0677,
  "space_group": "P-6m2 (187)",
  "lattice_angstrom": [[6.4649, 0.0000, 0.0000], [-3.2324, 5.5987, 0.0000], [0.0000, 0.0000, 10.5084]],
  "species": ["Mg", "Mg", "Mg", "Mg", "Ba", "Mg", "Mg", "Mg", "Mg", "Mg", "Mg", "Mg", "Mg", "Mg", "Mg", "B"],
  "fractional_positions": [[0.6726, 0.3452, 0.6250], [0.6605, 0.8395, 0.1250], [0.3301, 0.6602, 0.4031], [0.1548, 0.8274, 0.6250], [0.1667, 0.3333, 0.1250], [0.1791, 0.8395, 0.1250], [0.8333, 0.6667, 0.3648], [0.6605, 0.3209, 0.1250], [0.3301, 0.1699, 0.4031], [0.8398, 0.1699, 0.8469], [0.3301, 0.1699, 0.8469], [0.8333, 0.6667, 0.8852], [0.3301, 0.6602, 0.8469], [0.8398, 0.1699, 0.4031], [0.6726, 0.8274, 0.6250], [0.1667, 0.3333, 0.6250]]
}

{
  "formula": "Ba2CdSn",
  "functional": "PBE",
  "state": "optimized geometry",
  "space_group": "Fm-3m (225)",
  "lattice_angstrom": [[0.0000, 4.2800, 4.2800], [4.2800, 0.0000, 4.2800], [4.2800, 4.2800, 0.0000]],
  "species": ["Sn", "Ba", "Ba", "Cd"],
  "fractional_positions": [[0.0000, 0.0000, 0.0000], [0.2500, 0.2500, 0.2500], [0.7500, 0.7500, 0.7500], [0.5000, 0.5000, 0.5000]]
}

{
  "formula": "NaLuCl4",
  "functional": "PBE",
  "state": "optimized geometry",
  "space_group": "Pbcn (60)",
  "lattice_angstrom": [[-6.0470, 1.8468, -0.5284], [-1.1533, -4.9802, -4.2082], [-3.9789, -9.4994, 12.3325]],
  "species": ["Na", "Cl", "Na", "Cl", "Lu", "Cl", "Cl", "Cl", "Cl", "Cl", "Cl", "Lu", "Cl", "Na", "Na", "Cl", "Cl", "Cl", "Cl", "Lu", "Cl", "Cl", "Cl", "Lu"],
  "fractional_positions": [[0.0000, 0.7500, 0.6812], [0.7286, 0.4267, 0.4510], [0.5000, 0.7500, 0.1812], [0.2286, 0.5733, 0.0490], [0.0000, 0.7500, 0.9281], [0.7714, 0.4267, 0.9510], [0.2353, 0.0996, 0.1809], [0.7647, 0.4004, 0.1809], [0.7647, 0.9004, 0.8191], [0.7714, 0.9267, 0.0490], [0.2647, 0.5996, 0.3191], [0.5000, 0.7500, 0.4281], [0.7286, 0.9267, 0.5490], [0.0000, 0.2500, 0.3188], [0.5000, 0.2500, 0.8188], [0.2714, 0.5733, 0.5490], [0.7353, 0.9004, 0.3191], [0.2286, 0.0733, 0.9510], [0.2647, 0.0996, 0.6809], [0.0000, 0.2500, 0.0719], [0.2714, 0.0733, 0.4510], [0.2353, 0.5996, 0.8191], [0.7353, 0.4004, 0.6809], [0.5000, 0.2500, 0.5719]]
}

{
  "formula": "Tm3Os",
  "functional": "PBE",
  "state": "optimized geometry",
  "space_group": "Pnma (62)",
  "lattice_angstrom": [[7.3374, 0.0000, 0.0000], [0.0000, 8.9291, 0.0000], [0.0000, 0.0000, 6.2190]],
  "species": ["Os", "Os", "Tm", "Tm", "Tm", "Tm", "Tm", "Tm", "Os", "Tm", "Tm", "Tm", "Tm", "Os", "Tm", "Tm"],
  "fractional_positions": [[0.6173, 0.7500, 0.5394], [0.8827, 0.2500, 0.0394], [0.3250, 0.9377, 0.6675], [0.1750, 0.0623, 0.1675], [0.5403, 0.2500, 0.8681], [0.8250, 0.9377, 0.8325], [0.6750, 0.0623, 0.3325], [0.9597, 0.7500, 0.3681], [0.3827, 0.2500, 0.4606], [0.4597, 0.7500, 0.1319], [0.8250, 0.5623, 0.8325], [0.6750, 0.4377, 0.3325], [0.3250, 0.5623, 0.6675], [0.1173, 0.7500, 0.9606], [0.0403, 0.2500, 0.6319], [0.1750, 0.4377, 0.1675]]
}

{
  "formula": "Cs3EuCl6",
  "functional": "PBE",
  "state": "optimized geometry",
  "space_group": "Fm-3m (225)",
  "lattice_angstrom": [[-5.9921, -5.9921, 0.0000], [-5.9921, 0.0000, -5.9921], [0.0000, -5.9921, -5.9921]],
  "species": ["Eu", "Cl", "Cs", "Cl", "Cl", "Cs", "Cl", "Cl", "Cl", "Cs"],
  "fractional_positions": [[0.0000, 0.0000, 0.0000], [0.2265, 0.2265, 0.7735], [0.5000, 0.5000, 0.5000], [0.2265, 0.7735, 0.7735], [0.7735, 0.2265, 0.7735], [0.2500, 0.2500, 0.2500], [0.2265, 0.7735, 0.2265], [0.7735, 0.2265, 0.2265], [0.7735, 0.7735, 0.2265], [0.7500, 0.7500, 0.7500]]
}

{
  "formula": "Ba6Pr2YCu12O24",
  "functional": "PBE",
  "state": "optimized geometry",
  "de_polymorph_ev_per_atom": 0.0000,
  "space_group": "Cmmm (65)",
  "lattice_angstrom": [[3.9382, 0.0000, 0.0000], [0.0000, 3.9156, 0.0000], [0.0000, -1.9578, 41.5035]],
  "species": ["O", "Ba", "O", "Cu", "Pr", "Cu", "O", "O", "Cu", "O", "Ba", "O", "Cu", "O", "Cu", "O", "O", "O", "O", "O", "O", "O", "O", "Cu", "Cu", "O", "Cu", "O", "Cu", "O", "O", "O", "Cu", "Cu", "Ba", "O", "O", "O", "Cu", "Ba", "Pr", "O", "Ba", "Y", "Ba"],
  "fractional_positions": [[0.5000, 0.6479, 0.2959], [0.5000, 0.5452, 0.0905], [0.0000, 0.7154, 0.4307], [0.0000, 0.4043, 0.8086], [0.5000, 0.1667, 0.3334], [0.0000, 0.0708, 0.1415], [0.0000, 0.1482, 0.2964], [0.0000, 0.8148, 0.6297], [0.0000, 0.3549, 0.7098], [0.5000, 0.3521, 0.7041], [0.5000, 0.4548, 0.9095], [0.0000, 0.7604, 0.5207], [0.0000, 0.6883, 0.3765], [0.0000, 0.9064, 0.8128], [0.0000, 0.3117, 0.6235], [0.0000, 0.4827, 0.9655], [0.0000, 0.6180, 0.2359], [0.0000, 0.4271, 0.8542], [0.5000, 0.9825, 0.9650], [0.0000, 0.5173, 0.0345], [0.0000, 0.9515, 0.9030], [0.5000, 0.6854, 0.3708], [0.0000, 0.2396, 0.4793], [0.0000, 0.6451, 0.2902], [0.0000, 0.5957, 0.1914], [0.5000, 0.0175, 0.0350], [0.0000, 0.9292, 0.8585], [0.0000, 0.8518, 0.7036], [0.0000, 0.2624, 0.5249], [0.0000, 0.1852, 0.3703], [0.0000, 0.0485, 0.0970], [0.0000, 0.3820, 0.7641], [0.0000, 0.9794, 0.9588], [0.0000, 0.0206, 0.0412], [0.5000, 0.2122, 0.4244], [0.0000, 0.2846, 0.5693], [0.5000, 0.3146, 0.6292], [0.0000, 0.0936, 0.1872], [0.0000, 0.7376, 0.4751], [0.5000, 0.1211, 0.2423], [0.5000, 0.8333, 0.6666], [0.0000, 0.5729, 0.1458], [0.5000, 0.8789, 0.7577], [0.5000, 0.5000, 0.0000], [0.5000, 0.7878, 0.5756]]
}

{
  "formula": "SrSnP2O8",
  "functional": "PBE",
  "state": "optimized geometry",
  "de_polymorph_ev_per_atom": 0.0000,
  "space_group": "C2/c (15)",
  "lattice_angstrom": [[-5.2961, 3.4620, 6.1900], [-5.1020, -1.7803, 7.0108], [3.6425, 1.2605, 7.1889]],
  "species": ["P", "O", "O", "P", "O", "O", "O", "O", "O", "O", "O", "Sr", "O", "O", "Sr", "O", "O", "O", "P", "O", "O", "Sn", "Sn", "P"],
  "fractional_positions": [[0.3936, 0.8884, 0.7411], [0.8655, 0.8319, 0.8839], [0.1345, 0.1681, 0.1161], [0.8884, 0.3936, 0.2411], [0.5226, 0.0338, 0.2176], [0.3554, 0.3538, 0.8684], [0.6446, 0.6462, 0.1316], [0.0338, 0.5226, 0.7176], [0.9662, 0.4774, 0.2824], [0.8319, 0.8655, 0.3839], [0.8154, 0.2861, 0.3995], [0.2199, 0.7801, 0.2500], [0.2861, 0.8154, 0.8995], [0.6462, 0.6446, 0.6316], [0.7801, 0.2199, 0.7500], [0.1681, 0.1345, 0.6161], [0.4774, 0.9662, 0.7824], [0.3538, 0.3554, 0.3684], [0.6064, 0.1116, 0.2589], [0.7139, 0.1846, 0.1005], [0.1846, 0.7139, 0.6005], [0.5000, 0.0000, 0.0000], [0.0000, 0.5000, 0.5000], [0.1116, 0.6064, 0.7589]]
}

| no. | formation enthalpy at 0 K (meV per atom) |
| --- | --- |
| 1 | -3187 |
| 2 | -1807 |
| 3 | -209 |
| 4 | -348 |
| 5 | 28 |
| 6 | -310 |
| 7 | -401 |
| 8 | -702 |
| 9 | -2109 |
| 10 | 264 |
| 11 | -524 |
| 12 | -2534 |
| 13 | -312 |
| 14 | -2290 |
| 15 | -2024 |
| 16 | -2819 |